Entry 1:
Li2VSi4O10 | GGA+U | relaxed

POSCAR file:
```
Li2VSi4O10
1.0
6.9828 0.0000 0.0000
-3.4214 6.7588 0.0000
-2.1062 -2.8465 9.0646
Li V Si O
4 2 8 20
direct
0.1122 0.2455 0.4438
0.2820 0.8183 0.9280
0.7180 0.1817 0.0720
0.8878 0.7545 0.5562
0.2591 0.1998 0.0743
0.7409 0.8002 0.9257
0.1110 0.8620 0.2429
0.2525 0.5504 0.3128
0.3110 0.1149 0.7394
0.3953 0.7762 0.6420
0.6047 0.2238 0.3580
0.6890 0.8851 0.2606
0.7475 0.4496 0.6872
0.8890 0.1380 0.7571
0.0720 0.8843 0.0784
0.0744 0.1226 0.6818
0.0904 0.6371 0.2395
0.1464 0.3077 0.2424
0.2362 0.8881 0.6239
0.2774 0.5778 0.4909
0.3562 0.0497 0.3623
0.3934 0.1195 0.9076
0.4116 0.7115 0.7897
0.4931 0.3070 0.6964
0.5069 0.6930 0.3036
0.5884 0.2885 0.2103
0.6066 0.8805 0.0924
0.6438 0.9503 0.6377
0.7226 0.4222 0.5091
0.7638 0.1119 0.3761
0.8536 0.6923 0.7576
0.9096 0.3629 0.7605
0.9256 0.8774 0.3182
0.9280 0.1157 0.9216
```

E: -7.38 eV per atom
volume: 427.8 Å³ per cell
E_form: -49.9 eV/f.u.
total magnetic moment: 3.000 μB per formula unit

---

Entry 2:
LiMnP3O9 | GGA+U | relaxed

POSCAR file:
```
LiMnP3O9
1.0
-4.1113 3.9268 3.1100
-0.7490 -9.9006 8.8240
7.9766 4.1412 5.3244
Mn P O Li
4 12 36 4
direct
0.4848 0.4858 0.0000
0.2356 0.7356 0.5001
0.7354 0.2354 0.4999
0.9856 0.9857 0.0000
0.2444 0.2420 0.4322
0.2817 0.6346 0.7827
0.2012 0.8507 0.7852
0.7443 0.7420 0.4322
0.4945 0.9920 0.9323
0.7818 0.1345 0.7826
0.0317 0.8845 0.2827
0.5316 0.3846 0.2826
0.9943 0.4920 0.9322
0.7013 0.3507 0.7851
0.4510 0.6007 0.2852
0.9512 0.1007 0.2851
0.5155 0.6130 0.1471
0.9130 0.9825 0.3218
0.4023 0.8847 0.8738
0.7657 0.3629 0.6470
0.3212 0.0518 0.9752
0.3278 0.6357 0.6423
0.2657 0.8629 0.6471
0.6599 0.9692 0.0248
0.5159 0.3982 0.8330
0.8477 0.7956 0.3044
0.0711 0.3018 0.4751
0.2655 0.6481 0.3330
0.1632 0.7326 0.8219
0.5777 0.3859 0.1422
0.9024 0.3847 0.8737
0.0158 0.8982 0.8330
0.0779 0.8857 0.1423
0.4534 0.6254 0.8779
0.7658 0.1482 0.3329
0.1523 0.1347 0.3737
0.1596 0.4692 0.0248
0.2032 0.8754 0.3780
0.8278 0.1356 0.6422
0.0977 0.5457 0.8044
0.4130 0.4825 0.3220
0.9534 0.1253 0.8778
0.8210 0.5519 0.9751
0.9097 0.7193 0.5248
0.0157 0.1129 0.1470
0.3477 0.2956 0.3043
0.6633 0.2325 0.8218
0.7033 0.3754 0.3778
0.5710 0.8019 0.4751
0.6522 0.6347 0.3738
0.4099 0.2192 0.5247
0.5977 0.0456 0.8044
0.6740 0.6740 0.0000
0.9239 0.4240 0.4999
0.1740 0.1740 0.9999
0.4239 0.9240 0.5000
```

E: -7.17 eV per atom
volume: 895.0 Å³ per cell
E_form: -36.4 eV/f.u.
total magnetic moment: 0.000 μB per formula unit
maximum piezoelectric response: 0.24 C/m2

---

- total magnetic moment of number 1 (Li2VSi4O10)?
  3.000 μB per formula unit

---

- The lowest total magnetic moment belongs to which entry?
  LiMnP3O9

---

- Among the records above, which one has the highest E?
  LiMnP3O9